Crystalline Dy4CdSe7 at its relaxed geometry, computed with GGA-PBE.

Properties
Total magnetic moment = 0.0 μB/f.u.
ΔH_f (0 K) = -1.8822 eV/atom
V = 313 Å³ per cell

Cell lengths 6.9515, 6.9515, 12.1646 Å; angles 104.33, 104.33, 33.45 degrees
Element x y z (fractional)
Dy 0.0000 0.0000 0.0000
Dy 0.3873 0.3873 0.6047
Dy 0.5789 0.5789 0.3724
Dy 0.6939 0.6939 0.8034
Cd 0.8100 0.8100 0.2225
Se 0.0333 0.0333 0.7497
Se 0.1943 0.1943 0.3029
Se 0.3545 0.3545 0.8502
Se 0.4354 0.4354 0.1521
Se 0.6563 0.6563 0.0192
Se 0.7321 0.7321 0.5862
Se 0.9515 0.9515 0.4479